# 1
SmTmZn2: optimized geometry, r²SCAN. Values from VASP.

The structure in Quantum ESPRESSO input format:
```
&SYSTEM
  ibrav = 0, nat = 4, ntyp = 3
/
ATOMIC_SPECIES
Tm 168.93 Tm.upf
Sm 150.36 Sm.upf
Zn 65.41 Zn.upf
ATOMIC_POSITIONS angstrom
Tm 5.3429 5.3429 5.3429
Sm 1.7810 1.7810 1.7810
Zn 0.0000 0.0000 0.0000
Zn 3.5619 3.5619 3.5619
CELL_PARAMETERS angstrom
0.0000 3.5619 3.5619
3.5619 0.0000 3.5619
3.5619 3.5619 0.0000
```

Results
crystal system: cubic
raw total energy: -0.7730 Ha/atom
DFT formation energy: -0.364 eV per atom

---

# 2
Sm3Y: optimized geometry, r²SCAN. Values from VASP.

The structure in Quantum ESPRESSO input format:
```
&SYSTEM
  ibrav = 0, nat = 8, ntyp = 2
/
ATOMIC_SPECIES
Sm 150.36 Sm.upf
Y 88.91 Y.upf
ATOMIC_POSITIONS angstrom
Sm -1.6044 -4.4449 5.3709
Sm -0.7592 -5.4226 1.9562
Sm -0.1628 -1.1397 4.7813
Sm 2.6650 -5.1173 0.7191
Sm -3.5872 -1.4448 6.0185
Sm 0.6826 -2.1178 1.3666
Y 1.8591 -4.1594 4.1201
Y -2.7813 -2.4032 2.6175
CELL_PARAMETERS angstrom
-6.9235 -0.6170 2.5014
4.0086 -6.0654 -1.3093
1.9928 0.1199 5.5455
```

Results
crystal system: hexagonal
raw total energy: -1.0056 Ha/atom
DFT formation energy: 0.016 eV per atom

---

Ρ (computed, g/cm3): 8.27, 6.44